Record 1
Sr2VMoO6: relaxed, PBE+U.

- corrected total energy (MP2020 scheme) (eV/atom) = -8.0452
- SG = I4/mmm (139)
- ΔE_f (kJ per mole of atoms) = -264.9

The structure in POSCAR format:
```
Sr2VMoO6
1.0
-3.9910 3.9910 4.0056
3.9910 -3.9910 4.0056
3.9910 3.9910 -4.0056
Sr V Mo O
4 2 2 12
direct
0.0000 0.0000 0.5000
0.0000 0.5000 0.0000
0.5000 0.0000 0.0000
0.5000 0.5000 0.5000
0.0000 0.5000 0.5000
0.5000 0.0000 0.5000
0.0000 0.0000 0.0000
0.5000 0.5000 0.0000
0.0000 0.2508 0.2508
0.0000 0.7492 0.7492
0.2375 0.5000 0.7375
0.2410 0.2410 0.0000
0.2500 0.7500 0.5000
0.2508 0.0000 0.2508
0.5000 0.2375 0.7375
0.5000 0.7625 0.2625
0.7492 0.0000 0.7492
0.7500 0.2500 0.5000
0.7590 0.7590 0.0000
0.7625 0.5000 0.2625
```

---

Record 2
NaMo4C4NO14: relaxed, PBE+U.

- corrected total energy (MP2020 scheme) (eV/atom) = -7.1764
- SG = C2/m (12)
- ΔE_f (kJ per mole of atoms) = -52.3

The structure in POSCAR format:
```
NaMo4C4NO14
1.0
5.3646 -8.3482 0.0000
5.3646 8.3482 0.0000
-2.9326 0.0000 9.2894
Na Mo C N O
2 8 8 2 28
direct
0.1554 0.8446 0.0000
0.8446 0.1554 0.0000
0.1950 0.4742 0.8891
0.2597 0.2597 0.6310
0.4137 0.4137 0.1361
0.4742 0.1950 0.8891
0.5258 0.8050 0.1109
0.5863 0.5863 0.8639
0.7403 0.7403 0.3690
0.8050 0.5258 0.1109
0.1903 0.6073 0.3841
0.1963 0.7612 0.4227
0.2388 0.8037 0.5773
0.3927 0.8097 0.6159
0.6073 0.1903 0.3841
0.7612 0.1963 0.4227
0.8037 0.2388 0.5773
0.8097 0.3927 0.6159
0.3121 0.6879 0.5000
0.6879 0.3121 0.5000
0.0069 0.0069 0.9393
0.0398 0.3149 0.9048
0.1034 0.1034 0.6516
0.1313 0.6119 0.8802
0.1894 0.4135 0.6901
0.2322 0.2322 0.4479
0.2598 0.2598 0.1540
0.3149 0.0398 0.9048
0.3221 0.5516 0.0952
0.3702 0.3702 0.9070
0.3881 0.8687 0.1198
0.4135 0.1894 0.6901
0.4484 0.6779 0.9048
0.4774 0.4774 0.6833
0.5226 0.5226 0.3167
0.5516 0.3221 0.0952
0.5865 0.8106 0.3099
0.6119 0.1313 0.8802
0.6298 0.6298 0.0930
0.6779 0.4484 0.9048
0.6851 0.9602 0.0952
0.7402 0.7402 0.8460
0.7678 0.7678 0.5521
0.8106 0.5865 0.3099
0.8687 0.3881 0.1198
0.8966 0.8966 0.3484
0.9602 0.6851 0.0952
0.9931 0.9931 0.0607
```

---

Record 3
Ca3FeRhO6: relaxed, PBE+U.

- corrected total energy (MP2020 scheme) (eV/atom) = -7.1460
- ΔE_f (kJ per mole of atoms) = -237.4

The structure in POSCAR format:
```
Ca3FeRhO6
1.0
6.4614 0.0181 -0.1668
-0.1541 6.4773 6.2967
0.1893 -6.4410 6.6304
O Fe Ca Rh
24 4 12 4
direct
0.7003 0.4678 0.4311
0.2997 0.5322 0.5689
0.0368 0.2996 0.4007
0.7997 0.5322 0.9311
0.5368 0.7996 0.5993
0.9632 0.2004 0.0993
0.6011 0.1315 0.6682
0.4632 0.7004 0.9007
0.3989 0.3685 0.8318
0.1011 0.6315 0.3318
0.7003 0.9678 0.9311
0.3989 0.8685 0.3318
0.2997 0.0322 0.0689
0.5368 0.2996 0.0993
0.8989 0.8685 0.1682
0.1011 0.1315 0.8318
0.2003 0.9678 0.5689
0.8989 0.3685 0.6682
0.0368 0.7996 0.9007
0.7997 0.0322 0.4311
0.2003 0.4678 0.0689
0.4632 0.2004 0.4007
0.6011 0.6315 0.1682
0.9632 0.7004 0.5993
0.2500 0.2500 0.0000
0.7500 0.2500 0.5000
0.2500 0.7500 0.5000
0.7500 0.7500 0.0000
0.7500 0.2500 0.8674
0.7500 0.7500 0.3674
0.8826 0.4337 0.1837
0.2500 0.2500 0.6326
0.1174 0.0663 0.3163
0.8826 0.9337 0.6837
0.6174 0.0663 0.1837
0.6174 0.5663 0.6837
0.3826 0.9337 0.8163
0.2500 0.7500 0.1326
0.3826 0.4337 0.3163
0.1174 0.5663 0.8163
0.0000 0.0000 0.0000
0.0000 0.5000 0.5000
0.5000 0.5000 0.0000
0.5000 0.0000 0.5000
```

---

Record 4
LiFe2OF3: relaxed, PBE+U.

- corrected total energy (MP2020 scheme) (eV/atom) = -6.5634
- SG = Pm (6)
- ΔE_f (kJ per mole of atoms) = -226.1

The structure in POSCAR format:
```
LiFe2OF3
1.0
5.2338 0.0000 0.0000
0.0000 6.3051 0.0000
-0.4437 0.0000 10.6372
Li Fe O F
4 8 4 12
direct
0.0000 0.0000 0.0000
0.0239 0.5000 0.5019
0.0848 0.0000 0.6586
0.1476 0.5000 0.1296
0.0323 0.0000 0.3157
0.5482 0.2458 0.5668
0.5482 0.7542 0.5668
0.5525 0.5000 0.8362
0.5576 0.5000 0.3279
0.5647 0.0000 0.8179
0.5857 0.2419 0.0910
0.5857 0.7581 0.0910
0.3799 0.5000 0.4874
0.4161 0.5000 0.0087
0.7240 0.0000 0.6506
0.8049 0.0000 0.1574
0.2549 0.0000 0.4881
0.2980 0.2622 0.2344
0.2980 0.7378 0.2344
0.3151 0.2421 0.7388
0.3151 0.7579 0.7388
0.3530 0.0000 0.9848
0.7680 0.5000 0.6729
0.8032 0.2302 0.9155
0.8032 0.7698 0.9155
0.8126 0.5000 0.1841
0.8317 0.2671 0.4152
0.8317 0.7329 0.4152
```

---

Record 5
Li3CrFe3O8: relaxed, PBE+U.

- corrected total energy (MP2020 scheme) (eV/atom) = -7.2764
- SG = P6_3mc (186)
- ΔE_f (kJ per mole of atoms) = -185.1

The structure in POSCAR format:
```
Li3CrFe3O8
1.0
5.8928 0.0000 0.0000
-2.9464 5.1033 0.0000
0.0000 0.0000 9.5860
Li Cr Fe O
6 2 6 16
direct
0.1713 0.3426 0.0000
0.1713 0.8287 0.0000
0.3426 0.1713 0.5000
0.6574 0.8287 0.0000
0.8287 0.1713 0.5000
0.8287 0.6574 0.5000
0.3333 0.6667 0.4559
0.6667 0.3333 0.9559
0.1690 0.3380 0.7312
0.1690 0.8310 0.7312
0.3380 0.1690 0.2312
0.6620 0.8310 0.7312
0.8310 0.1690 0.2312
0.8310 0.6620 0.2312
0.0000 0.0000 0.1217
0.0000 0.0000 0.6217
0.0398 0.5199 0.5951
0.1675 0.3351 0.3518
0.1675 0.8325 0.3518
0.3333 0.6667 0.8478
0.3351 0.1675 0.8518
0.4801 0.5199 0.5951
0.4801 0.9602 0.5951
0.5199 0.0398 0.0951
0.5199 0.4801 0.0951
0.6649 0.8325 0.3518
0.6667 0.3333 0.3478
0.8325 0.1675 0.8518
0.8325 0.6649 0.8518
0.9602 0.4801 0.0951
```

---

Record 6
MgMnNbO4: relaxed, PBE+U.

- corrected total energy (MP2020 scheme) (eV/atom) = -8.4093
- SG = Cm (8)
- ΔE_f (kJ per mole of atoms) = -251.0

The structure in POSCAR format:
```
MgMnNbO4
1.0
10.7711 0.0000 0.0000
0.0000 4.2466 0.0000
-1.4370 0.0000 3.6835
Mg Mn Nb O
2 2 2 8
direct
0.0000 0.0000 0.0000
0.5000 0.5000 0.0000
0.4224 0.0000 0.4255
0.9224 0.5000 0.4255
0.2261 0.5000 0.2296
0.7261 0.0000 0.2296
0.0175 0.5000 0.0186
0.2085 0.0000 0.2128
0.2598 0.5000 0.7625
0.4466 0.5000 0.4469
0.5175 0.0000 0.0186
0.7085 0.5000 0.2128
0.7598 0.0000 0.7625
0.9466 0.0000 0.4469
```